No. 1
VASP calculation (PBE) on an optimized crystal structure of CaAl2H8.

abc: 9.0905 13.5628 9.4852
angles: 90.00 90.00 90.00
Last column: nearest neighbours and their distance in Å.
Fractional positions:
Ca  0.2174  0.1066  0.0320  8 H 2.24-2.31
Ca  0.2174  0.3934  0.5320  8 H 2.24-2.31
Ca  0.2826  0.6066  0.0320  8 H 2.24-2.31
Ca  0.2826  0.8934  0.5320  8 H 2.24-2.31
Ca  0.7174  0.1066  0.4680  8 H 2.24-2.31
Ca  0.7174  0.3934  0.9680  8 H 2.24-2.31
Ca  0.7826  0.6066  0.4680  8 H 2.24-2.31
Ca  0.7826  0.8934  0.9680  8 H 2.24-2.31
Al  0.0050  0.0603  0.7225  4 H 1.62-1.63
Al  0.0050  0.4397  0.2225  4 H 1.62-1.63
Al  0.1800  0.6559  0.3916  4 H 1.62-1.64
Al  0.1800  0.8441  0.8916  4 H 1.62-1.64
Al  0.3200  0.1559  0.3916  4 H 1.62-1.64
Al  0.3200  0.3441  0.8916  4 H 1.62-1.64
Al  0.4950  0.5603  0.7225  4 H 1.62-1.63
Al  0.4950  0.9397  0.2225  4 H 1.62-1.63
Al  0.5050  0.0603  0.7775  4 H 1.62-1.63
Al  0.5050  0.4397  0.2775  4 H 1.62-1.63
Al  0.6800  0.6559  0.1084  4 H 1.62-1.64
Al  0.6800  0.8441  0.6084  4 H 1.62-1.64
Al  0.8200  0.1559  0.1084  4 H 1.62-1.64
Al  0.8200  0.3441  0.6084  4 H 1.62-1.64
Al  0.9950  0.5603  0.7775  4 H 1.62-1.63
Al  0.9950  0.9397  0.2775  4 H 1.62-1.63
H  0.0046  0.6681  0.4166  1 Al 1.62
H  0.0046  0.8319  0.9166  1 Al 1.62
H  0.0898  0.6284  0.8851  1 Al 1.62
H  0.0898  0.8716  0.3851  1 Al 1.62
H  0.0922  0.5233  0.1324  1 Al 1.63
H  0.0922  0.9767  0.6324  1 Al 1.63
H  0.1049  0.5090  0.6636  1 Al 1.63
H  0.1049  0.9910  0.1636  1 Al 1.63
H  0.1180  0.1292  0.8122  1 Al 1.63
H  0.1180  0.3708  0.3122  1 Al 1.63
H  0.2255  0.6870  0.2326  1 Al 1.62
H  0.2255  0.8130  0.7326  1 Al 1.62
H  0.2269  0.5401  0.4131  1 Al 1.64
H  0.2269  0.9599  0.9131  1 Al 1.64
H  0.2327  0.2248  0.5042  1 Al 1.63
H  0.2327  0.2752  0.0042  1 Al 1.63
H  0.2673  0.7248  0.5042  1 Al 1.63
H  0.2673  0.7752  0.0042  1 Al 1.63
H  0.2731  0.0401  0.4131  1 Al 1.64
H  0.2731  0.4599  0.9131  1 Al 1.64
H  0.2745  0.1870  0.2326  1 Al 1.62
H  0.2745  0.3130  0.7326  1 Al 1.62
H  0.3820  0.6292  0.8122  1 Al 1.63
H  0.3820  0.8708  0.3122  1 Al 1.63
H  0.3951  0.0090  0.6636  1 Al 1.63
H  0.3951  0.4910  0.1636  1 Al 1.63
H  0.4078  0.0233  0.1324  1 Al 1.63
H  0.4078  0.4767  0.6324  1 Al 1.63
H  0.4102  0.1284  0.8851  1 Al 1.62
H  0.4102  0.3716  0.3851  1 Al 1.62
H  0.4954  0.1681  0.4166  1 Al 1.62
H  0.4954  0.3319  0.9166  1 Al 1.62
H  0.5046  0.6681  0.0833  1 Al 1.62
H  0.5046  0.8319  0.5834  1 Al 1.62
H  0.5898  0.6284  0.6149  1 Al 1.62
H  0.5898  0.8716  0.1149  1 Al 1.62
H  0.5922  0.5233  0.3676  1 Al 1.63
H  0.5922  0.9767  0.8676  1 Al 1.63
H  0.6049  0.5090  0.8364  1 Al 1.63
H  0.6049  0.9910  0.3364  1 Al 1.63
H  0.6180  0.1292  0.6878  1 Al 1.63
H  0.6180  0.3708  0.1878  1 Al 1.63
H  0.7255  0.6870  0.2674  1 Al 1.62
H  0.7255  0.8130  0.7674  1 Al 1.62
H  0.7269  0.5401  0.0869  1 Al 1.64
H  0.7269  0.9599  0.5869  1 Al 1.64
H  0.7327  0.2248  0.9958  1 Al 1.63
H  0.7327  0.2752  0.4958  1 Al 1.63
H  0.7673  0.7248  0.9958  1 Al 1.63
H  0.7673  0.7752  0.4958  1 Al 1.63
H  0.7731  0.0401  0.0869  1 Al 1.64
H  0.7731  0.4599  0.5869  1 Al 1.64
H  0.7745  0.1870  0.2674  1 Al 1.62
H  0.7745  0.3130  0.7674  1 Al 1.62
H  0.8820  0.6292  0.6878  1 Al 1.63
H  0.8820  0.8708  0.1878  1 Al 1.63
H  0.8951  0.0090  0.8364  1 Al 1.63
H  0.8951  0.4910  0.3364  1 Al 1.63
H  0.9078  0.0233  0.3676  1 Al 1.63
H  0.9078  0.4767  0.8676  1 Al 1.63
H  0.9102  0.1284  0.6149  1 Al 1.62
H  0.9102  0.3716  0.1149  1 Al 1.62
H  0.9954  0.1681  0.0833  1 Al 1.62
H  0.9954  0.3319  0.5834  1 Al 1.62

Calculated values
Crystal system: orthorhombic
Offset from the most stable computed form (kJ/mol of formula units): 0
Space-group type: Pbca, No. 61
Formation energy (kJ per mole of atoms): -27.7

---

No. 2
VASP calculation (PBE) on an optimized crystal structure of Li5LaO4.

abc: 9.0864 9.5346 10.0341
angles: 90.00 90.00 90.00
Last column: nearest neighbours and their distance in Å.
Fractional positions:
Li  0.1253  0.1329  0.1362  4 O 1.91-2.09
Li  0.1253  0.3671  0.6362  4 O 1.91-2.09
Li  0.1270  0.5685  0.8691  3 O 1.93-2.03
Li  0.1270  0.9315  0.3691  3 O 1.93-2.03
Li  0.1289  0.6228  0.0941  4 O 1.94-2.14
Li  0.1289  0.8772  0.5941  4 O 1.94-2.14
Li  0.1366  0.6514  0.3556  3 O 1.97-2.00
Li  0.1366  0.8486  0.8556  3 O 1.97-2.00
Li  0.1868  0.1244  0.5755  3 O 1.90-1.96
Li  0.1868  0.3756  0.0755  3 O 1.90-1.96
Li  0.3132  0.6244  0.5755  3 O 1.90-1.96
Li  0.3132  0.8756  0.0755  3 O 1.90-1.96
Li  0.3634  0.1514  0.3556  3 O 1.97-2.00
Li  0.3634  0.3486  0.8556  3 O 1.97-2.00
Li  0.3711  0.1228  0.0941  4 O 1.94-2.14
Li  0.3711  0.3772  0.5941  4 O 1.94-2.14
Li  0.3730  0.0685  0.8691  3 O 1.93-2.03
Li  0.3730  0.4315  0.3691  3 O 1.93-2.03
Li  0.3747  0.6329  0.1362  4 O 1.91-2.09
Li  0.3747  0.8671  0.6362  4 O 1.91-2.09
Li  0.6253  0.1329  0.3638  4 O 1.91-2.09
Li  0.6253  0.3671  0.8638  4 O 1.91-2.09
Li  0.6270  0.5685  0.6309  3 O 1.93-2.03
Li  0.6270  0.9315  0.1309  3 O 1.93-2.03
Li  0.6289  0.6228  0.4059  4 O 1.94-2.14
Li  0.6289  0.8772  0.9059  4 O 1.94-2.14
Li  0.6366  0.6514  0.1444  3 O 1.97-2.00
Li  0.6366  0.8486  0.6444  3 O 1.97-2.00
Li  0.6868  0.1244  0.9245  3 O 1.90-1.96
Li  0.6868  0.3756  0.4245  3 O 1.90-1.96
Li  0.8132  0.6244  0.9245  3 O 1.90-1.96
Li  0.8132  0.8756  0.4245  3 O 1.90-1.96
Li  0.8634  0.1514  0.1444  3 O 1.97-2.00
Li  0.8634  0.3486  0.6444  3 O 1.97-2.00
Li  0.8711  0.1228  0.4059  4 O 1.94-2.14
Li  0.8711  0.3772  0.9059  4 O 1.94-2.14
Li  0.8730  0.0685  0.6309  3 O 1.93-2.03
Li  0.8730  0.4315  0.1309  3 O 1.93-2.03
Li  0.8747  0.6329  0.3638  4 O 1.91-2.09
Li  0.8747  0.8671  0.8638  4 O 1.91-2.09
La  0.0518  0.1593  0.8444  4 O 2.34-2.43
La  0.0518  0.3407  0.3444  4 O 2.34-2.43
La  0.4482  0.6593  0.8444  4 O 2.34-2.43
La  0.4482  0.8407  0.3444  4 O 2.34-2.43
La  0.5518  0.1593  0.6556  4 O 2.34-2.43
La  0.5518  0.3407  0.1556  4 O 2.34-2.43
La  0.9482  0.6593  0.6556  4 O 2.34-2.43
La  0.9482  0.8407  0.1556  4 O 2.34-2.43
O  0.0022  0.5513  0.2336  4 Li 1.91-1.98
O  0.0020  0.7194  0.9549  5 Li 1.96-2.04
O  0.0020  0.7806  0.4549  5 Li 1.96-2.04
O  0.0022  0.9487  0.7336  4 Li 1.91-1.98
O  0.2113  0.0226  0.9874  4 Li 1.90-2.04
O  0.2113  0.4774  0.4874  4 Li 1.90-2.04
O  0.2278  0.7244  0.7218  4 Li 1.91-2.14
O  0.2278  0.7756  0.2218  4 Li 1.91-2.14
O  0.2722  0.2244  0.7218  4 Li 1.91-2.14
O  0.2722  0.2756  0.2218  4 Li 1.91-2.14
O  0.2887  0.5226  0.9874  4 Li 1.90-2.04
O  0.2887  0.9774  0.4874  4 Li 1.90-2.04
O  0.4978  0.0513  0.2336  4 Li 1.91-1.98
O  0.4980  0.2194  0.9549  5 Li 1.96-2.04
O  0.4980  0.2806  0.4549  5 Li 1.96-2.04
O  0.4978  0.4487  0.7336  4 Li 1.91-1.98
O  0.5022  0.5513  0.2664  4 Li 1.91-1.98
O  0.5020  0.7194  0.5451  5 Li 1.96-2.04
O  0.5020  0.7806  0.0451  5 Li 1.96-2.04
O  0.5022  0.9487  0.7664  4 Li 1.91-1.98
O  0.7113  0.0226  0.5126  4 Li 1.90-2.04
O  0.7113  0.4774  0.0126  4 Li 1.90-2.04
O  0.7278  0.7244  0.7782  4 Li 1.91-2.14
O  0.7278  0.7756  0.2782  4 Li 1.91-2.14
O  0.7722  0.2244  0.7782  4 Li 1.91-2.14
O  0.7722  0.2756  0.2782  4 Li 1.91-2.14
O  0.7887  0.5226  0.5126  4 Li 1.90-2.04
O  0.7887  0.9774  0.0126  4 Li 1.90-2.04
O  0.9978  0.0513  0.2664  4 Li 1.91-1.98
O  0.9980  0.2194  0.5451  5 Li 1.96-2.04
O  0.9980  0.2806  0.0451  5 Li 1.96-2.04
O  0.9978  0.4487  0.7664  4 Li 1.91-1.98

Calculated values
Crystal system: orthorhombic
Offset from the most stable computed form (kJ/mol of formula units): 12
Space-group type: Pbca, No. 61
Formation energy (kJ per mole of atoms): -236.7

---

No. 3
VASP calculation (PBE) on an optimized crystal structure of Nd2InPd2.

abc: 7.8771 7.8771 3.8884
angles: 90.00 90.00 90.00
Last column: nearest neighbours and their distance in Å.
Fractional positions:
Nd  0.1751  0.3249  0.0000  6 Pd 2.94-3.09
Nd  0.3249  0.8249  0.0000  6 Pd 2.94-3.09
Nd  0.6751  0.1751  0.0000  6 Pd 2.94-3.09
Nd  0.8249  0.6751  0.0000  6 Pd 2.94-3.09
In  0.0000  0.0000  0.5000  4 Pd 3.11
In  0.5000  0.5000  0.5000  4 Pd 3.11
Pd  0.1266  0.6266  0.5000  1 Pd 2.82, 6 Nd 2.94-3.09, 2 In 3.11
Pd  0.3734  0.1266  0.5000  1 Pd 2.82, 6 Nd 2.94-3.09, 2 In 3.11
Pd  0.6266  0.8734  0.5000  1 Pd 2.82, 6 Nd 2.94-3.09, 2 In 3.11
Pd  0.8734  0.3734  0.5000  1 Pd 2.82, 6 Nd 2.94-3.09, 2 In 3.11

Calculated values
Crystal system: tetragonal
Space-group type: P4/mbm, No. 127
Formation energy (kJ per mole of atoms): -77.9

---

No. 4
VASP calculation (PBE) on an optimized crystal structure of Mg3C.

abc: 7.7494 7.7494 3.0871
angles: 90.00 90.00 120.00
Last column: nearest neighbours and their distance in Å.
Fractional positions:
Mg  0.2106  0.4212  0.2500  2 C 2.26
Mg  0.2106  0.7894  0.2500  2 C 2.26
Mg  0.4212  0.2106  0.7500  2 C 2.26
Mg  0.5788  0.7894  0.2500  2 C 2.26
Mg  0.7894  0.2106  0.7500  2 C 2.26
Mg  0.7894  0.5788  0.7500  2 C 2.26
C  0.3333  0.6667  0.7500  6 Mg 2.26
C  0.6667  0.3333  0.2500  6 Mg 2.26

Calculated values
Crystal system: hexagonal
Offset from the most stable computed form (kJ/mol of formula units): 0
Space-group type: P6_3/mmc, No. 194
Formation energy (kJ per mole of atoms): 56.2

---

Please write out number 4 again, unchanged.
VASP calculation (PBE) on an optimized crystal structure of Mg3C.

abc: 7.7494 7.7494 3.0871
angles: 90.00 90.00 120.00
Last column: nearest neighbours and their distance in Å.
Fractional positions:
Mg  0.2106  0.4212  0.2500  2 C 2.26
Mg  0.2106  0.7894  0.2500  2 C 2.26
Mg  0.4212  0.2106  0.7500  2 C 2.26
Mg  0.5788  0.7894  0.2500  2 C 2.26
Mg  0.7894  0.2106  0.7500  2 C 2.26
Mg  0.7894  0.5788  0.7500  2 C 2.26
C  0.3333  0.6667  0.7500  6 Mg 2.26
C  0.6667  0.3333  0.2500  6 Mg 2.26

Calculated values
Crystal system: hexagonal
Offset from the most stable computed form (kJ/mol of formula units): 0
Space-group type: P6_3/mmc, No. 194
Formation energy (kJ per mole of atoms): 56.2